Record 1
DFT (PBE) results for crystalline Nd6InFe13 at its relaxed geometry.

Lattice parameters (Å, degrees): 13.1223 13.1223 13.1223 144.07 144.07 51.72
With the nearest neighbours (Å) after each atom.
Sites, in units of the cell vectors:
Nd1 0.0211 0.5211 0.1731  3 Fe 2.98-3.13
Nd2 0.1043 0.1043 0.0000  12 Fe 3.04-3.27
Nd3 0.1521 0.9789 0.5000  3 Fe 2.98-3.13
Nd4 0.3479 0.8479 0.8269  3 Fe 2.98-3.13
Nd5 0.3957 0.3957 0.0000  12 Fe 3.04-3.27
Nd6 0.4789 0.6521 0.5000  3 Fe 2.98-3.13
Nd7 0.5211 0.3479 0.5000  3 Fe 2.98-3.13
Nd8 0.6043 0.6043 0.0000  12 Fe 3.04-3.27
Nd9 0.6521 0.1521 0.1731  3 Fe 2.98-3.13
Nd10 0.8479 0.0211 0.5000  3 Fe 2.98-3.13
Nd11 0.8957 0.8957 0.0000  12 Fe 3.04-3.27
Nd12 0.9789 0.4789 0.8269  3 Fe 2.98-3.13
In1 0.2500 0.2500 0.0000  10 Nd 3.40-3.44
In2 0.7500 0.7500 0.0000  10 Nd 3.40-3.44
Fe1 0.0000 0.5000 0.5000  12 Fe 2.41-2.56
Fe2 0.0193 0.2937 0.5000  7 Fe 2.52-2.66
Fe3 0.0665 0.2100 0.2765  10 Fe 2.41-2.66
Fe4 0.1207 0.6207 0.8582  9 Fe 2.47-2.76
Fe5 0.2063 0.4807 0.5000  7 Fe 2.52-2.66
Fe6 0.2100 0.9335 0.1435  10 Fe 2.41-2.66
Fe7 0.2375 0.7375 0.8582  9 Fe 2.47-2.76
Fe8 0.2625 0.1207 0.5000  9 Fe 2.47-2.76
Fe9 0.2900 0.4335 0.7235  10 Fe 2.41-2.66
Fe10 0.2937 0.7937 0.2744  7 Fe 2.52-2.66
Fe11 0.3793 0.2375 0.5000  9 Fe 2.47-2.76
Fe12 0.4335 0.7100 0.1435  10 Fe 2.41-2.66
Fe13 0.4807 0.9807 0.2744  7 Fe 2.52-2.66
Fe14 0.5000 0.0000 0.5000  12 Fe 2.41-2.56
Fe15 0.5193 0.0193 0.7256  7 Fe 2.52-2.66
Fe16 0.5665 0.2900 0.8565  10 Fe 2.41-2.66
Fe17 0.6207 0.7625 0.5000  9 Fe 2.47-2.76
Fe18 0.7063 0.2063 0.7256  7 Fe 2.52-2.66
Fe19 0.7100 0.5665 0.2765  10 Fe 2.41-2.66
Fe20 0.7375 0.8793 0.5000  9 Fe 2.47-2.76
Fe21 0.7625 0.2625 0.1418  9 Fe 2.47-2.76
Fe22 0.7900 0.0665 0.8565  10 Fe 2.41-2.66
Fe23 0.7937 0.5193 0.5000  7 Fe 2.52-2.66
Fe24 0.8793 0.3793 0.1418  9 Fe 2.47-2.76
Fe25 0.9335 0.7900 0.7235  10 Fe 2.41-2.66
Fe26 0.9807 0.7063 0.5000  7 Fe 2.52-2.66

***

Record 2
DFT (PBE) results for crystalline Pr6InFe13 at its relaxed geometry.

Lattice parameters (Å, degrees): 13.2065 13.2065 13.2065 144.21 144.21 51.51
With the nearest neighbours (Å) after each atom.
Sites, in units of the cell vectors:
Pr1 0.0211 0.5211 0.1736  3 Fe 3.02-3.16
Pr2 0.1041 0.1041 0.0000  12 Fe 3.06-3.29
Pr3 0.1525 0.9789 0.5000  3 Fe 3.02-3.16
Pr4 0.3475 0.8475 0.8264  3 Fe 3.02-3.16
Pr5 0.3959 0.3959 0.0000  12 Fe 3.06-3.29
Pr6 0.4789 0.6525 0.5000  3 Fe 3.02-3.16
Pr7 0.5211 0.3475 0.5000  3 Fe 3.02-3.16
Pr8 0.6041 0.6041 0.0000  12 Fe 3.06-3.29
Pr9 0.6525 0.1525 0.1736  3 Fe 3.02-3.16
Pr10 0.8475 0.0211 0.5000  3 Fe 3.02-3.16
Pr11 0.8959 0.8959 0.0000  12 Fe 3.06-3.29
Pr12 0.9789 0.4789 0.8264  3 Fe 3.02-3.16
In1 0.2500 0.2500 0.0000  10 Pr 3.42-3.47
In2 0.7500 0.7500 0.0000  10 Pr 3.42-3.47
Fe1 0.0000 0.5000 0.5000  12 Fe 2.41-2.55
Fe2 0.0200 0.2954 0.5000  7 Fe 2.53-2.65
Fe3 0.0668 0.2105 0.2773  10 Fe 2.41-2.65
Fe4 0.1211 0.6211 0.8577  9 Fe 2.47-2.75
Fe5 0.2046 0.4800 0.5000  7 Fe 2.53-2.65
Fe6 0.2105 0.9332 0.1437  10 Fe 2.41-2.65
Fe7 0.2366 0.7366 0.8577  9 Fe 2.47-2.75
Fe8 0.2634 0.1211 0.5000  9 Fe 2.47-2.75
Fe9 0.2895 0.4332 0.7227  10 Fe 2.41-2.65
Fe10 0.2954 0.7954 0.2755  7 Fe 2.53-2.65
Fe11 0.3789 0.2366 0.5000  9 Fe 2.47-2.75
Fe12 0.4332 0.7105 0.1437  10 Fe 2.41-2.65
Fe13 0.4800 0.9800 0.2755  7 Fe 2.53-2.65
Fe14 0.5000 0.0000 0.5000  12 Fe 2.41-2.55
Fe15 0.5200 0.0200 0.7245  7 Fe 2.53-2.65
Fe16 0.5668 0.2895 0.8563  10 Fe 2.41-2.65
Fe17 0.6211 0.7634 0.5000  9 Fe 2.47-2.75
Fe18 0.7046 0.2046 0.7245  7 Fe 2.53-2.65
Fe19 0.7105 0.5668 0.2773  10 Fe 2.41-2.65
Fe20 0.7366 0.8789 0.5000  9 Fe 2.47-2.75
Fe21 0.7634 0.2634 0.1423  9 Fe 2.47-2.75
Fe22 0.7895 0.0668 0.8563  10 Fe 2.41-2.65
Fe23 0.7954 0.5200 0.5000  7 Fe 2.53-2.65
Fe24 0.8789 0.3789 0.1423  9 Fe 2.47-2.75
Fe25 0.9332 0.7895 0.7227  10 Fe 2.41-2.65
Fe26 0.9800 0.7046 0.5000  7 Fe 2.53-2.65

***

Record 3
DFT (PBE) results for crystalline In2FeS4 at its relaxed geometry.

## Properties
* corrected total energy (MP2020 scheme): -35.6 eV per formula unit

Lattice parameters (Å, degrees): 7.5497 7.5497 7.5497 60.00 60.00 60.00
With the nearest neighbours (Å) after each atom.
Sites, in units of the cell vectors:
In1 0.0000 0.0000 0.0000  6 S 2.66
In2 0.0000 0.0000 0.5000  6 S 2.66
In3 0.0000 0.5000 0.0000  6 S 2.66
In4 0.5000 0.0000 0.0000  6 S 2.66
Fe1 0.3750 0.3750 0.3750  4 S 2.33
Fe2 0.6250 0.6250 0.6250  4 S 2.33
S1 0.2463 0.7512 0.7512  1 Fe 2.33
S2 0.2488 0.2488 0.2488  1 Fe 2.33
S3 0.2488 0.2488 0.7537  1 Fe 2.33
S4 0.2488 0.7537 0.2488  1 Fe 2.33
S5 0.7512 0.2463 0.7512  1 Fe 2.33
S6 0.7512 0.7512 0.2463  1 Fe 2.33
S7 0.7512 0.7512 0.7512  1 Fe 2.33
S8 0.7537 0.2488 0.2488  1 Fe 2.33

***

Record 4
DFT (PBE) results for crystalline Ti2InFe at its relaxed geometry.

Lattice parameters (Å, degrees): 6.3800 6.3800 6.3800 90.00 90.00 90.00
With the nearest neighbours (Å) after each atom.
Sites, in units of the cell vectors:
Ti1 0.0000 0.0000 0.0000  4 Fe 2.76, 4 Ti 2.76
Ti2 0.0000 0.5000 0.5000  4 Fe 2.76, 4 Ti 2.76
Ti3 0.2500 0.2500 0.2500  4 In 2.76, 4 Ti 2.76
Ti4 0.2500 0.7500 0.7500  4 In 2.76, 4 Ti 2.76
Ti5 0.5000 0.0000 0.5000  4 Fe 2.76, 4 Ti 2.76
Ti6 0.5000 0.5000 0.0000  4 Fe 2.76, 4 Ti 2.76
Ti7 0.7500 0.2500 0.7500  4 In 2.76, 4 Ti 2.76
Ti8 0.7500 0.7500 0.2500  4 In 2.76, 4 Ti 2.76
In1 0.0000 0.0000 0.5000  4 Fe 2.76, 4 Ti 2.76
In2 0.0000 0.5000 0.0000  4 Fe 2.76, 4 Ti 2.76
In3 0.5000 0.0000 0.0000  4 Fe 2.76, 4 Ti 2.76
In4 0.5000 0.5000 0.5000  4 Fe 2.76, 4 Ti 2.76
Fe1 0.2500 0.2500 0.7500  4 Ti 2.76, 4 In 2.76
Fe2 0.2500 0.7500 0.2500  4 In 2.76, 4 Ti 2.76
Fe3 0.7500 0.2500 0.2500  4 Ti 2.76, 4 In 2.76
Fe4 0.7500 0.7500 0.7500  4 Ti 2.76, 4 In 2.76

***

Record 5
DFT (PBE) results for crystalline FeIr3 at its relaxed geometry.

Lattice parameters (Å, degrees): 5.4066 5.4066 4.3089 90.00 90.00 120.00
With the nearest neighbours (Å) after each atom.
Sites, in units of the cell vectors:
Fe1 0.3333 0.6667 0.2500  12 Ir 2.64-2.70
Fe2 0.6667 0.3333 0.7500  12 Ir 2.64-2.70
Ir1 0.1699 0.3398 0.7500  4 Fe 2.64-2.70, 8 Ir 2.65-2.76
Ir2 0.1699 0.8301 0.7500  4 Fe 2.64-2.70, 8 Ir 2.65-2.76
Ir3 0.3398 0.1699 0.2500  4 Fe 2.64-2.70, 8 Ir 2.65-2.76
Ir4 0.6602 0.8301 0.7500  4 Fe 2.64-2.70, 8 Ir 2.65-2.76
Ir5 0.8301 0.1699 0.2500  4 Fe 2.64-2.70, 8 Ir 2.65-2.76
Ir6 0.8301 0.6602 0.2500  4 Fe 2.64-2.70, 8 Ir 2.65-2.76

***

Record 6
DFT (PBE) results for crystalline FeIr3 at its relaxed geometry.

Lattice parameters (Å, degrees): 3.8082 3.8082 7.5895 90.00 90.00 90.00
With the nearest neighbours (Å) after each atom.
Sites, in units of the cell vectors:
Fe1 0.0000 0.0000 0.0000  12 Ir 2.69
Fe2 0.5000 0.5000 0.5000  12 Ir 2.69
Ir1 0.0000 0.0000 0.5000  8 Ir 2.69, 4 Fe 2.69
Ir2 0.0000 0.5000 0.2500  4 Fe 2.69, 8 Ir 2.69
Ir3 0.0000 0.5000 0.7500  4 Fe 2.69, 8 Ir 2.69
Ir4 0.5000 0.0000 0.2500  4 Fe 2.69, 8 Ir 2.69
Ir5 0.5000 0.0000 0.7500  4 Fe 2.69, 8 Ir 2.69
Ir6 0.5000 0.5000 0.0000  8 Ir 2.69, 4 Fe 2.69

***

Record 7
DFT (PBE) results for crystalline FeIr3 at its relaxed geometry.

Lattice parameters (Å, degrees): 3.7902 3.7902 3.7902 90.00 90.00 90.00
With the nearest neighbours (Å) after each atom.
Sites, in units of the cell vectors:
Fe1 0.0000 0.0000 0.0000  12 Ir 2.68
Ir1 0.0000 0.5000 0.5000  4 Fe 2.68, 8 Ir 2.68
Ir2 0.5000 0.0000 0.5000  4 Fe 2.68, 8 Ir 2.68
Ir3 0.5000 0.5000 0.0000  4 Fe 2.68, 8 Ir 2.68

***

Record 8
DFT (PBE) results for crystalline Fe2IrN3 at its relaxed geometry.

## Properties
* corrected total energy (MP2020 scheme): -50.7 eV per formula unit

Lattice parameters (Å, degrees): 5.3100 5.3100 4.8686 90.00 90.00 62.06
With the nearest neighbours (Å) after each atom.
Sites, in units of the cell vectors:
Fe1 0.0197 0.3542 0.0000  4 N 1.85-1.86
Fe2 0.3542 0.0197 0.5000  4 N 1.85-1.86
Fe3 0.6458 0.9803 0.0000  4 N 1.85-1.86
Fe4 0.9803 0.6458 0.5000  4 N 1.85-1.86
Ir1 0.3916 0.6084 0.0021  4 N 1.99-2.05
Ir2 0.6084 0.3916 0.5021  4 N 1.99-2.05
N1 0.0098 0.3046 0.6257  3 Fe 1.85, 1 Ir 2.05
N2 0.2592 0.7408 0.6128  2 Fe 1.86, 2 Ir 1.99-2.03
N3 0.3046 0.0098 0.1257  3 Fe 1.85, 1 Ir 2.05
N4 0.6954 0.9902 0.6257  3 Fe 1.85, 1 Ir 2.05
N5 0.7408 0.2592 0.1128  2 Fe 1.86, 2 Ir 1.99-2.03
N6 0.9902 0.6954 0.1257  3 Fe 1.85, 1 Ir 2.05

***

Quick rundown of formation energy from the elements, same order as above: -0.05 -0.03 -0.73 0.04 -0.04 -0.07 -0.03 0.01 eV/atom
Quick rundown of final energy, same order as above: -7.121 -7.112 -4.802 -6.715 -8.790 -8.819 -8.781 -8.276 eV/atom